Entry 1:
! Ca2ZnGa, optimized geometry, DFT PBE; values from VASP
&SYSTEM
  ibrav = 0, nat = 4, ntyp = 3
/
ATOMIC_SPECIES
Ga 69.72 Ga.upf
Ca 40.08 Ca.upf
Zn 65.41 Zn.upf
CELL_PARAMETERS angstrom
0.0000 3.6750 3.6750
3.6750 0.0000 3.6750
3.6750 3.6750 0.0000
ATOMIC_POSITIONS angstrom
Ga 3.6750 3.6750 3.6750
Ca 1.8375 1.8375 1.8375
Ca 5.5125 5.5125 5.5125
Zn 0.0000 0.0000 0.0000
! - Formation enthalpy at 0 K: -1.4 eV/f.u.



Entry 2:
! Y2Ga3Fe14, optimized geometry, DFT PBE; values from VASP
&SYSTEM
  ibrav = 0, nat = 38, ntyp = 3
/
ATOMIC_SPECIES
Y 88.91 Y.upf
Fe 55.84 Fe.upf
Ga 69.72 Ga.upf
CELL_PARAMETERS angstrom
4.2816 -7.4160 0.0000
4.2816 7.4160 0.0000
0.0000 0.0000 8.2382
ATOMIC_POSITIONS angstrom
Y 0.0000 0.0000 2.0596
Y 0.0000 0.0000 6.1787
Y 4.2816 2.4720 6.1787
Y 4.2816 -2.4720 2.0596
Fe 1.6316 2.3874 2.0596
Fe 3.0298 4.8093 2.0596
Fe 4.2816 4.9610 8.1270
Fe 5.6798 -0.2193 6.1787
Fe 5.5334 4.8093 2.0596
Fe 4.2816 -2.4720 5.0381
Fe 6.4371 1.2275 8.1270
Fe 1.6316 -2.3874 6.1787
Fe 2.1261 -1.2275 0.1112
Fe 3.0298 -4.8093 6.1787
Fe 4.2816 -2.4720 7.3192
Fe 4.2816 2.4720 0.9190
Fe 6.9316 -2.3874 6.1787
Fe 5.6798 0.2193 2.0596
Fe 4.2816 -4.9610 4.0079
Fe 2.1261 -1.2275 4.0079
Fe 2.8834 -0.2193 6.1787
Fe 4.2816 2.4720 3.2001
Fe 2.8834 0.2193 2.0596
Fe 4.2816 -4.9610 0.1112
Fe 6.4371 -1.2275 0.1112
Fe 2.1261 1.2275 8.1270
Fe 2.1261 1.2275 4.2304
Fe 4.2816 4.9610 4.2304
Fe 6.4371 1.2275 4.2304
Fe 5.5334 -4.8093 6.1787
Fe 6.4371 -1.2275 4.0079
Fe 6.9316 2.3874 2.0596
Ga 2.1408 3.7080 4.1191
Ga 4.2816 0.0000 4.1191
Ga 2.1408 3.7080 0.0000
Ga 4.2816 0.0000 0.0000
Ga 2.1408 -3.7080 0.0000
Ga 2.1408 -3.7080 4.1191
! - Formation enthalpy at 0 K: -1.9 eV/f.u.



Entry 3:
! Bi2TeIClO8, optimized geometry, DFT PBE; values from VASP
&SYSTEM
  ibrav = 0, nat = 52, ntyp = 5
/
ATOMIC_SPECIES
O 16.00 O.upf
Bi 208.98 Bi.upf
Cl 35.45 Cl.upf
Te 127.60 Te.upf
I 126.90 I.upf
CELL_PARAMETERS angstrom
0.2580 -8.7739 7.3425
2.8307 -4.8731 9.9599
-12.3384 2.1620 8.9057
ATOMIC_POSITIONS angstrom
O -4.2076 -10.9415 20.0750
O 2.1339 -11.7613 15.7975
O -8.1256 -2.4326 10.3404
O 0.6359 -9.3520 12.7443
O -1.3593 -2.6082 6.4950
O -7.6404 -4.4310 14.9518
O -5.2665 -7.8666 17.4684
O -1.9488 -5.0862 7.4946
O -8.4806 -6.2807 12.8850
O -7.7287 -6.4552 17.4369
O -8.1598 -0.5501 8.2621
O -1.7191 -1.2195 4.0854
O -2.9639 -7.3625 15.7615
O -10.0137 -7.6167 19.3184
O -3.3864 -0.8877 6.4694
O 2.2407 -6.3263 11.6871
O -6.0231 -8.4211 14.0090
O -11.0190 -2.2720 14.9757
O 0.5006 -2.9265 3.8731
O -7.1785 -2.5808 12.9032
O -0.4746 -8.9444 15.0684
O -10.4091 -1.1007 10.0539
O -5.2061 -3.8932 10.1605
O -7.2409 -8.7689 18.9137
O -0.0527 -3.9370 10.7302
O 1.6467 -5.7764 8.4823
O -5.2231 -5.7577 12.2223
O -1.8648 -6.1087 10.0986
O -5.6703 -1.8482 8.3241
O -5.2665 -6.1066 15.3378
O -1.6628 -7.6927 12.8790
O 0.4048 -7.9425 10.3784
Bi -9.4367 -0.9975 12.2493
Bi -3.9658 -3.1371 7.0861
Bi -3.9833 -7.4713 13.6228
Bi -7.5571 -6.7272 15.1703
Bi -5.9958 -1.7627 10.6355
Bi -0.3158 -6.1828 11.8081
Bi -9.4825 -5.3745 18.7573
Bi -0.8196 -4.3493 5.1724
Cl -10.3534 -6.7033 15.8999
Cl -2.6151 -10.3748 17.2456
Cl -8.4150 -8.7339 22.0741
Cl -2.1810 -4.7470 13.4851
Te -1.2439 -9.5136 13.4031
Te 0.4214 -9.8507 10.7920
Te -6.4751 -7.0105 18.8102
Te -4.1165 -6.2965 16.9044
I -1.3293 -6.5816 8.3657
I -9.8754 -2.2860 16.4125
I -6.2076 -3.5434 14.1319
I -5.2550 -5.7153 10.3839
! - Energy with MP2020 corrections: -5.500 eV per atom
! - Formation enthalpy at 0 K: -17.6 eV/f.u.



Entry 4:
! Ti2N2O, optimized geometry, DFT PBE; values from VASP
&SYSTEM
  ibrav = 0, nat = 40, ntyp = 3
/
ATOMIC_SPECIES
O 16.00 O.upf
Ti 47.87 Ti.upf
N 14.01 N.upf
CELL_PARAMETERS angstrom
8.2059 0.0000 0.0000
-2.7265 7.7647 0.0000
-2.7413 -3.8781 6.7235
ATOMIC_POSITIONS angstrom
O 2.0950 0.3286 6.6589
O -0.6219 1.8050 3.7052
O 3.6273 -1.1994 5.1356
O -3.0811 6.6678 1.8077
O -3.3763 3.6532 6.4388
O 3.3831 2.0613 3.0310
O -0.3575 -0.9928 4.8746
O 3.6119 -0.7410 1.8280
Ti 1.5906 -0.6022 1.8042
Ti -1.6615 0.6552 5.0814
Ti 4.0383 5.7171 3.3481
Ti 1.1542 5.0061 1.3698
Ti 3.9382 0.1817 3.7164
Ti 1.3369 1.9631 3.3657
Ti -1.1484 -2.1075 6.5050
Ti 1.5801 -1.1910 5.2946
Ti 3.8052 6.0207 0.2231
Ti 1.2068 4.4567 5.0017
Ti -1.2920 3.9180 0.0964
Ti 1.4527 -3.8181 6.6477
Ti 4.3394 3.2466 1.6471
Ti -1.1778 0.8109 1.9503
Ti 3.8988 3.1010 4.7756
Ti -1.1393 3.7725 3.0286
N 6.1089 0.2084 0.2861
N 0.6477 3.5365 0.0566
N -0.9252 5.1255 1.5665
N -3.5516 1.2615 5.2082
N -3.1164 4.0239 3.4395
N 1.9262 2.5961 5.2035
N -0.8093 1.9544 6.3650
N 3.5403 1.9425 0.3384
N -0.9145 4.6716 4.8685
N 0.9248 3.8955 3.0765
N 5.8289 -2.7590 4.9393
N 0.8121 1.2478 1.5130
N 3.1309 4.8783 1.8330
N 5.8267 -0.1416 3.2956
N 6.3064 2.6250 1.5135
N 1.8246 -0.0476 3.6302
! - Energy with MP2020 corrections: -9.468 eV per atom
! - Formation enthalpy at 0 K: -9.9 eV/f.u.



no.,final energy (eV/atom)
1,-2.433
2,-7.502
3,-5.077
4,-9.331